Here is YB4Os after structural relaxation from the Materials Project database. Energies are from r²SCAN.

Values from the calculation:
DFT formation energy (meV/atom): -634

Unit cell a=5.9632 b=11.5365 c=3.5675 alpha=90.00 beta=90.00 gamma=90.00
Closest atoms and distances in Å follow each position.
Space group Pbam (No. 55)
One atom of each set of equivalent atoms:
Y 0.1282 0.1500 0.0000 (multiplicity 4)  14 B 2.65-2.77, 1 Os 2.96
B 0.0250 0.6911 0.5000 (multiplicity 4)  3 B 1.75-1.87
B 0.1122 0.5466 0.5000 (multiplicity 4)  3 B 1.72-1.75
B 0.1369 0.9700 0.5000 (multiplicity 4)  3 B 1.74-1.85
B 0.2114 0.8145 0.5000 (multiplicity 4)  3 B 1.81-1.87
Os 0.1409 0.4064 0.0000 (multiplicity 4)  10 B 2.25-2.41

---

Here is YbB2Os after structural relaxation from the Materials Project database. Energies are from r²SCAN.

Values from the calculation:
DFT formation energy (meV/atom): -719

Unit cell a=5.8043 b=5.2490 c=6.3023 alpha=90.00 beta=90.00 gamma=90.00
Closest atoms and distances in Å follow each position.
Space group Pnma (No. 62)
One atom of each set of equivalent atoms:
Yb 0.0095 0.2500 0.1669 (multiplicity 4)  6 B 2.56-2.66
B 0.1403 0.5818 0.4626 (multiplicity 8)  2 B 1.77-1.90
Os 0.1767 0.2500 0.6804 (multiplicity 4)  6 B 2.23-2.25

---

Here is BP after structural relaxation from the Materials Project database. Energies are from r²SCAN.

Values from the calculation:
DFT formation energy (meV/atom): -483

Unit cell a=4.5321 b=4.5321 c=4.5321 alpha=90.00 beta=90.00 gamma=90.00
Closest atoms and distances in Å follow each position.
Space group F-43m (No. 216)
One atom of each set of equivalent atoms:
B 0.0000 0.0000 0.0000 (multiplicity 4)  4 P 1.96
P 0.2500 0.2500 0.2500 (multiplicity 4)  4 B 1.96

---

Here is BP after structural relaxation from the Materials Project database. Energies are from r²SCAN.

Values from the calculation:
DFT formation energy (meV/atom): -469

Unit cell a=3.1883 b=3.1883 c=5.2901 alpha=90.00 beta=90.00 gamma=120.00
Closest atoms and distances in Å follow each position.
Space group P6_3mc (No. 186)
One atom of each set of equivalent atoms:
B 0.3333 0.6667 0.0000 (multiplicity 2)  4 P 1.96-1.98
P 0.3333 0.6667 0.3742 (multiplicity 2)  4 B 1.96-1.98

---

Here is Sc3BPb after structural relaxation from the Materials Project database. Energies are from r²SCAN.

Values from the calculation:
DFT formation energy (meV/atom): -613

Unit cell a=4.6779 b=4.6779 c=4.6779 alpha=90.00 beta=90.00 gamma=90.00
Closest atoms and distances in Å follow each position.
Space group Pm-3m (No. 221)
One atom of each set of equivalent atoms:
Sc 0.0000 0.0000 0.5000 (multiplicity 3)  2 B 2.34
B 0.0000 0.0000 0.0000 (multiplicity 1)  6 Sc 2.34
Pb 0.5000 0.5000 0.5000 (multiplicity 1)  12 Sc 3.31

---

Here is BPd6 after structural relaxation from the Materials Project database. Energies are from r²SCAN.

Values from the calculation:
DFT formation energy (meV/atom): -195

Unit cell a=4.9504 b=8.5523 c=9.4469 alpha=90.00 beta=99.98 gamma=90.00
Closest atoms and distances in Å follow each position.
Space group C2/c (No. 15)
One atom of each set of equivalent atoms:
B 0.0000 0.0824 0.2500 (multiplicity 4)  6 Pd 2.06-2.07
Pd 0.1165 0.4171 0.6226 (multiplicity 8)  1 B 2.06
Pd 0.1280 0.0875 0.6221 (multiplicity 8)  1 B 2.06
Pd 0.1287 0.2537 0.1225 (multiplicity 8)  1 B 2.07

---

Here is BPd2 after structural relaxation from the Materials Project database. Energies are from r²SCAN.

Values from the calculation:
DFT formation energy (meV/atom): -275

Unit cell a=4.7179 b=5.1403 c=3.1513 alpha=90.00 beta=90.00 gamma=90.00
Closest atoms and distances in Å follow each position.
Space group Pnnm (No. 58)
One atom of each set of equivalent atoms:
B 0.0000 0.0000 0.0000 (multiplicity 2)  6 Pd 2.11-2.14
Pd 0.2452 0.1558 0.5000 (multiplicity 4)  3 B 2.11-2.14

---

Here is B3Pd16 after structural relaxation from the Materials Project database. Energies are from r²SCAN.

Values from the calculation:
DFT formation energy (meV/atom): -212

Unit cell a=16.2406 b=8.1100 c=9.0257 alpha=90.00 beta=116.74 gamma=90.00
Closest atoms and distances in Å follow each position.
Space group C2/c (No. 15)
One atom of each set of equivalent atoms:
B 0.0000 0.1248 0.2500 (multiplicity 4)  6 Pd 2.06-2.07
B 0.1837 0.3828 0.9993 (multiplicity 8)  6 Pd 2.04-2.12
Pd 0.0000 0.1299 0.7500 (multiplicity 4)  1 B 2.07
Pd 0.0000 0.3794 0.2500 (multiplicity 4)  1 B 2.06
Pd 0.0585 0.3751 0.0001 (multiplicity 8)  1 B 2.04
Pd 0.0640 0.1245 0.5068 (multiplicity 8)  1 B 2.07
Pd 0.1235 0.3757 0.7446 (multiplicity 8)  1 B 2.06
Pd 0.1270 0.1258 0.2498 (multiplicity 8)  1 B 2.06
Pd 0.1859 0.1219 0.9992 (multiplicity 8)  2 B 2.11-2.12
Pd 0.1871 0.3660 0.5002 (multiplicity 8)  1 B 2.04
Pd 0.2491 0.1241 0.7450 (multiplicity 8)  1 B 2.06